Below is an optimized crystal structure of GdCBr, with properties calculated at the meta-GGA r2SCAN level.

Summary:
- Space-group type: No. 12

Cell lengths 3.8493, 4.0235, 10.1767 Å; angles 94.09, 90.00, 118.58 degrees
Sites, in units of the cell vectors:
1 Gd 0.8559 0.7117 0.8547
2 Gd 0.1441 0.2883 0.1453
3 Br 0.8227 0.6454 0.3311
4 Br 0.1773 0.3546 0.6689
5 C 0.4258 0.8515 0.0361
6 C 0.5742 0.1485 0.9639

Below is an optimized crystal structure of GdCBr, with properties calculated at the meta-GGA r2SCAN level.

Summary:
- Space-group type: No. 12

Cell lengths 3.8505, 4.0238, 10.3075 Å; angles 98.79, 90.00, 118.58 degrees
Sites, in units of the cell vectors:
1 C 0.0877 0.1754 0.0361
2 C 0.9123 0.8246 0.9639
3 Br 0.7997 0.5994 0.3311
4 Br 0.2003 0.4006 0.6689
5 Gd 0.4099 0.8197 0.1452
6 Gd 0.5901 0.1803 0.8548

Below is an optimized crystal structure of K4Zr6CBr18, with properties calculated at the meta-GGA r2SCAN level.

Summary:
- Space-group type: No. 2

Cell lengths 10.2466, 10.4184, 10.5120 Å; angles 118.52, 100.16, 103.99 degrees
Sites, in units of the cell vectors:
1 Br 0.8253 0.4213 0.1111
2 Br 0.1783 0.3710 0.0986
3 Br 0.4907 0.0840 0.7993
4 Br 0.8217 0.6290 0.9014
5 Br 0.1640 0.3784 0.4936
6 Br 0.1649 0.1618 0.6846
7 Br 0.5093 0.9160 0.2007
8 Br 0.8351 0.8382 0.3154
9 Br 0.5047 0.2930 0.2119
10 Br 0.7989 0.2207 0.7077
11 Br 0.2011 0.7793 0.2923
12 Br 0.4840 0.2918 0.5851
13 Br 0.8247 0.0268 0.1002
14 Br 0.4953 0.7070 0.7881
15 Br 0.5160 0.7082 0.4149
16 Br 0.1753 0.9732 0.8998
17 Br 0.8360 0.6216 0.5064
18 Br 0.1747 0.5787 0.8889
19 Zr 0.6493 0.5559 0.2280
20 Zr 0.6365 0.3743 0.8678
21 Zr 0.3556 0.2636 0.9554
22 Zr 0.3635 0.6257 0.1322
23 Zr 0.6444 0.7364 0.0446
24 Zr 0.3507 0.4441 0.7720
25 C 0.5000 0.5000 0.0000
26 K 0.8482 0.9623 0.7731
27 K 0.1518 0.0377 0.2269
28 K 0.1863 0.7257 0.5652
29 K 0.8137 0.2743 0.4348

Below is an optimized crystal structure of La5C2Br9, with properties calculated at the meta-GGA r2SCAN level.

Summary:
- Space-group type: No. 62

Cell lengths 10.0068, 11.3883, 16.7378 Å; angles 90.00, 90.00, 90.00 degrees
Sites, in units of the cell vectors:
1 La 0.4529 0.1912 0.0506
2 La 0.2500 0.1356 0.8521
3 La 0.4529 0.6912 0.4494
4 La 0.5471 0.3088 0.5506
5 La 0.2500 0.9303 0.3413
6 La 0.2500 0.6356 0.6479
7 La 0.7500 0.5364 0.0658
8 La 0.2500 0.9636 0.5658
9 La 0.9529 0.8088 0.9494
10 La 0.2500 0.4636 0.9342
11 La 0.0471 0.6912 0.4494
12 La 0.7500 0.0697 0.6587
13 La 0.7500 0.0364 0.4342
14 La 0.5471 0.8088 0.9494
15 La 0.7500 0.3644 0.3521
16 La 0.9529 0.3088 0.5506
17 La 0.7500 0.5697 0.8413
18 La 0.0471 0.1912 0.0506
19 La 0.2500 0.4303 0.1587
20 La 0.7500 0.8644 0.1479
21 Br 0.4276 0.1144 0.4396
22 Br 0.5515 0.3672 0.1764
23 Br 0.5346 0.0688 0.8900
24 Br 0.7500 0.6306 0.2288
25 Br 0.7500 0.1306 0.2712
26 Br 0.5346 0.5688 0.6100
27 Br 0.9276 0.3856 0.9396
28 Br 0.7500 0.6156 0.4392
29 Br 0.9654 0.0688 0.8900
30 Br 0.5724 0.3856 0.9396
31 Br 0.7500 0.1156 0.0608
32 Br 0.5515 0.8672 0.3236
33 Br 0.2500 0.6592 0.2919
34 Br 0.0346 0.9312 0.1100
35 Br 0.2500 0.3844 0.5608
36 Br 0.0515 0.6328 0.8236
37 Br 0.4654 0.9312 0.1100
38 Br 0.2500 0.1592 0.2081
39 Br 0.7500 0.3408 0.7081
40 Br 0.2500 0.8694 0.7288
41 Br 0.4276 0.6144 0.0604
42 Br 0.9485 0.3672 0.1764
43 Br 0.0515 0.1328 0.6764
44 Br 0.0724 0.1144 0.4396
45 Br 0.9276 0.8856 0.5604
46 Br 0.2500 0.3694 0.7712
47 Br 0.9485 0.8672 0.3236
48 Br 0.5724 0.8856 0.5604
49 Br 0.0346 0.4312 0.3900
50 Br 0.4485 0.1328 0.6764
51 Br 0.2500 0.8844 0.9392
52 Br 0.4654 0.4312 0.3900
53 Br 0.0724 0.6144 0.0604
54 Br 0.7500 0.8408 0.7919
55 Br 0.9654 0.5688 0.6100
56 Br 0.4485 0.6328 0.8236
57 C 0.2500 0.7459 0.5282
58 C 0.7500 0.2541 0.4718
59 C 0.7500 0.7541 0.0282
60 C 0.2500 0.2459 0.9718
61 C 0.2500 0.8208 0.4567
62 C 0.7500 0.1792 0.5433
63 C 0.7500 0.6792 0.9567
64 C 0.2500 0.3208 0.0433

Below is an optimized crystal structure of La4C2Br5, with properties calculated at the meta-GGA r2SCAN level.

Summary:
- Space-group type: No. 71

Cell lengths 10.2688, 10.2682, 10.2680 Å; angles 157.37, 132.17, 53.53 degrees
Sites, in units of the cell vectors:
1 C 0.5387 0.0387 0.5000
2 C 0.4612 0.9613 0.5000
3 Br 0.9439 0.6656 0.2781
4 Br 0.0562 0.3344 0.7219
5 Br 0.6125 0.3343 0.2782
6 Br 0.0000 0.0000 0.0000
7 Br 0.3875 0.6657 0.7219
8 La 0.6644 0.1645 0.5000
9 La 0.3356 0.8355 0.5000
10 La 0.2952 0.4999 0.7951
11 La 0.7048 0.5000 0.2048

Below is an optimized crystal structure of Pr3CBr3, with properties calculated at the meta-GGA r2SCAN level.

Summary:
- Space-group type: No. 214

Cell lengths 9.9652, 9.9649, 9.9652 Å; angles 109.47, 109.47, 109.47 degrees
Sites, in units of the cell vectors:
1 Pr 0.2302 0.4604 0.4802
2 Pr 0.7499 0.2302 0.2698
3 Pr 0.0396 0.2698 0.0198
4 Pr 0.4802 0.2302 0.4604
5 Pr 0.2698 0.0198 0.0396
6 Pr 0.0198 0.4802 0.7500
7 Pr 0.2302 0.2698 0.7500
8 Pr 0.0198 0.0396 0.2698
9 Pr 0.2698 0.7500 0.2302
10 Pr 0.7500 0.0198 0.4802
11 Pr 0.4604 0.4802 0.2302
12 Pr 0.4802 0.7500 0.0198
13 Br 0.7395 0.2500 0.7604
14 Br 0.5105 0.7605 0.5209
15 Br 0.9895 0.9791 0.7395
16 Br 0.7604 0.7395 0.2500
17 Br 0.5104 0.2500 0.9895
18 Br 0.2500 0.9896 0.5105
19 Br 0.2500 0.7605 0.7396
20 Br 0.7395 0.9896 0.9791
21 Br 0.9791 0.7395 0.9895
22 Br 0.9895 0.5104 0.2500
23 Br 0.5209 0.5104 0.7605
24 Br 0.7604 0.5209 0.5105
25 C 0.2500 0.5000 0.0000
26 C 0.0000 0.2500 0.5000
27 C 0.5000 0.0000 0.2500
28 C 0.2500 0.2500 0.2500

Below is an optimized crystal structure of Pr7C3Br10, with properties calculated at the meta-GGA r2SCAN level.

Summary:
- Space-group type: No. 2

Cell lengths 9.1796, 11.1170, 13.4787 Å; angles 86.21, 107.73, 113.31 degrees
Sites, in units of the cell vectors:
1 Br 0.6815 0.5792 0.1219
2 Br 0.5184 0.0649 0.3663
3 Br 0.8223 0.9749 0.2256
4 Br 0.6715 0.4544 0.4344
5 Br 0.2837 0.2792 0.1709
6 Br 0.4418 0.8100 0.9648
7 Br 0.8905 0.1038 0.9068
8 Br 0.3285 0.5456 0.5656
9 Br 0.2282 0.1550 0.4832
10 Br 0.7163 0.7208 0.8291
11 Br 0.1095 0.8962 0.0932
12 Br 0.3185 0.4208 0.8781
13 Br 0.0564 0.7465 0.3744
14 Br 0.5582 0.1900 0.0352
15 Br 0.9436 0.2535 0.6256
16 Br 0.1777 0.0251 0.7744
17 Br 0.0595 0.6364 0.7020
18 Br 0.9405 0.3636 0.2980
19 Br 0.7718 0.8450 0.5168
20 Br 0.4816 0.9351 0.6337
21 C 0.3953 0.7305 0.2330
22 C 0.6047 0.2695 0.7670
23 C 0.6422 0.3904 0.7215
24 C 0.0184 0.5606 0.9773
25 C 0.9816 0.4394 0.0227
26 C 0.3578 0.6096 0.2785
27 Pr 0.4068 0.7810 0.4217
28 Pr 0.4687 0.9359 0.1694
29 Pr 0.0590 0.6173 0.1794
30 Pr 0.6951 0.5834 0.6367
31 Pr 0.9284 0.2439 0.1013
32 Pr 0.3130 0.5480 0.0789
33 Pr 0.9410 0.3827 0.8206
34 Pr 0.0716 0.7561 0.8987
35 Pr 0.3197 0.2915 0.6882
36 Pr 0.6870 0.4520 0.9211
37 Pr 0.5313 0.0641 0.8306
38 Pr 0.6803 0.7085 0.3118
39 Pr 0.5932 0.2190 0.5783
40 Pr 0.3049 0.4166 0.3633

Below is an optimized crystal structure of Pr10C4Br15, with properties calculated at the meta-GGA r2SCAN level.

Summary:
- Space-group type: No. 2

Cell lengths 9.2191, 10.2150, 11.1376 Å; angles 70.31, 66.26, 70.80 degrees
Sites, in units of the cell vectors:
1 C 0.9559 0.2955 0.0616
2 C 0.8797 0.3590 0.1717
3 C 0.1203 0.6410 0.8283
4 C 0.0441 0.7045 0.9384
5 Br 0.9468 0.4433 0.7020
6 Br 0.7421 0.9721 0.3566
7 Br 0.5000 0.5000 0.0000
8 Br 0.4515 0.3677 0.4143
9 Br 0.6629 0.8341 0.7790
10 Br 0.7650 0.0931 0.9381
11 Br 0.5485 0.6323 0.5857
12 Br 0.1330 0.8140 0.4667
13 Br 0.8670 0.1860 0.5333
14 Br 0.3882 0.2706 0.8165
15 Br 0.2579 0.0279 0.6434
16 Br 0.0532 0.5567 0.2980
17 Br 0.6118 0.7294 0.1835
18 Br 0.2350 0.9069 0.0619
19 Br 0.3371 0.1659 0.2210
20 Pr 0.2473 0.5400 0.6435
21 Pr 0.6655 0.2481 0.1691
22 Pr 0.9208 0.8212 0.1129
23 Pr 0.7527 0.4600 0.3565
24 Pr 0.9716 0.8972 0.7347
25 Pr 0.0792 0.1788 0.8871
26 Pr 0.0284 0.1028 0.2653
27 Pr 0.1707 0.4297 0.0460
28 Pr 0.3345 0.7519 0.8309
29 Pr 0.8293 0.5703 0.9540

Below is an optimized crystal structure of Rb2Tb10C4Br19, with properties calculated at the meta-GGA r2SCAN level.

Summary:
- Space-group type: No. 60

Cell lengths 12.7284, 14.4149, 23.2389 Å; angles 90.00, 90.00, 90.00 degrees
Sites, in units of the cell vectors:
1 Br 0.9965 0.5042 0.8255
2 Br 0.9965 0.0042 0.1745
3 Br 0.7472 0.5940 0.5953
4 Br 0.7528 0.5940 0.0953
5 Br 0.7333 0.3415 0.8248
6 Br 0.2333 0.1585 0.3248
7 Br 0.2474 0.4051 0.5738
8 Br 0.7474 0.0949 0.0738
9 Br 0.7474 0.5949 0.9262
10 Br 0.2350 0.1642 0.4934
11 Br 0.7472 0.0940 0.4047
12 Br 0.2528 0.4060 0.4047
13 Br 0.4920 0.9954 0.8456
14 Br 0.5000 0.7500 0.4256
15 Br 0.0000 0.2500 0.0744
16 Br 0.2650 0.1642 0.9934
17 Br 0.7580 0.1016 0.2488
18 Br 0.9920 0.5046 0.3456
19 Br 0.5035 0.0042 0.6745
20 Br 0.7526 0.5949 0.4262
21 Br 0.2350 0.6642 0.5066
22 Br 0.5080 0.0046 0.1544
23 Br 0.0080 0.4954 0.6544
24 Br 0.5035 0.5042 0.3255
25 Br 0.2667 0.6585 0.1752
26 Br 0.5000 0.0000 0.5000
27 Br 0.7526 0.0949 0.5738
28 Br 0.2580 0.8984 0.2512
29 Br 0.0035 0.4958 0.1745
30 Br 0.7651 0.8294 0.8421
31 Br 0.2472 0.4060 0.9047
32 Br 0.2349 0.1706 0.1579
33 Br 0.2474 0.9051 0.4262
34 Br 0.7650 0.8358 0.5066
35 Br 0.2333 0.6585 0.6752
36 Br 0.7651 0.3294 0.1579
37 Br 0.7420 0.6016 0.2512
38 Br 0.7333 0.8415 0.1752
39 Br 0.2420 0.3984 0.2488
40 Br 0.7667 0.8415 0.6752
41 Br 0.2349 0.6706 0.8421
42 Br 0.2472 0.9060 0.0953
43 Br 0.2526 0.4051 0.0738
44 Br 0.9920 0.0046 0.6544
45 Br 0.4965 0.9958 0.3255
46 Br 0.7349 0.3294 0.6579
47 Br 0.2651 0.1706 0.6579
48 Br 0.2651 0.6706 0.3421
49 Br 0.2580 0.3984 0.7488
50 Br 0.4965 0.4958 0.6745
51 Br 0.0000 0.7500 0.9256
52 Br 0.4920 0.4954 0.1544
53 Br 0.0000 0.7500 0.4238
54 Br 0.2650 0.6642 0.0066
55 Br 0.2667 0.1585 0.8248
56 Br 0.7349 0.8294 0.3421
57 Br 0.0000 0.5000 0.0000
58 Br 0.0000 0.2500 0.5762
59 Br 0.7350 0.3358 0.9934
60 Br 0.7528 0.0940 0.9047
61 Br 0.7650 0.3358 0.4934
62 Br 0.5000 0.5000 0.5000
63 Br 0.2420 0.8984 0.7512
64 Br 0.2528 0.9060 0.5953
65 Br 0.5080 0.5046 0.8456
66 Br 0.7667 0.3415 0.3248
67 Br 0.5000 0.2500 0.0762
68 Br 0.5000 0.2500 0.5744
69 Br 0.0035 0.9958 0.8255
70 Br 0.0080 0.9954 0.3456
71 Br 0.5000 0.7500 0.9238
72 Br 0.2526 0.9051 0.9262
73 Br 0.7580 0.6016 0.7512
74 Br 0.7350 0.8358 0.0066
75 Br 0.0000 0.0000 0.0000
76 Br 0.7420 0.1016 0.7488
77 Tb 0.1011 0.3126 0.8267
78 Tb 0.1123 0.3172 0.6721
79 Tb 0.6291 0.4151 0.2352
80 Tb 0.1327 0.5845 0.0877
81 Tb 0.1123 0.8172 0.3279
82 Tb 0.8877 0.6828 0.3279
83 Tb 0.3673 0.5845 0.5877
84 Tb 0.8989 0.1874 0.8267
85 Tb 0.3709 0.0849 0.2352
86 Tb 0.3831 0.8130 0.5207
87 Tb 0.3877 0.8172 0.8279
88 Tb 0.1169 0.3130 0.9793
89 Tb 0.6123 0.6828 0.8279
90 Tb 0.6011 0.1874 0.3267
91 Tb 0.1011 0.8126 0.1733
92 Tb 0.3673 0.0845 0.4123
93 Tb 0.8709 0.9151 0.2648
94 Tb 0.6291 0.9151 0.7648
95 Tb 0.8989 0.6874 0.1733
96 Tb 0.6011 0.6874 0.6733
97 Tb 0.6169 0.1870 0.4793
98 Tb 0.6327 0.4155 0.4123
99 Tb 0.3989 0.8126 0.6733
100 Tb 0.8877 0.1828 0.6721
101 Tb 0.3831 0.3130 0.4793
102 Tb 0.8709 0.4151 0.7352
103 Tb 0.6327 0.9155 0.5877
104 Tb 0.3989 0.3126 0.3267
105 Tb 0.1291 0.5849 0.2648
106 Tb 0.1327 0.0845 0.9123
107 Tb 0.8831 0.6870 0.0207
108 Tb 0.1291 0.0849 0.7352
109 Tb 0.8673 0.9155 0.0877
110 Tb 0.3877 0.3172 0.1721
111 Tb 0.1169 0.8130 0.0207
112 Tb 0.8831 0.1870 0.9793
113 Tb 0.3709 0.5849 0.7648
114 Tb 0.8673 0.4155 0.9123
115 Tb 0.6123 0.1828 0.1721
116 Tb 0.6169 0.6870 0.5207
117 C 0.4685 0.2088 0.4095
118 C 0.0316 0.7092 0.2577
119 C 0.4684 0.7092 0.7577
120 C 0.9684 0.7908 0.2577
121 C 0.4684 0.2092 0.2423
122 C 0.4685 0.7088 0.5905
123 C 0.5315 0.2912 0.4095
124 C 0.0316 0.2092 0.7423
125 C 0.9685 0.2912 0.9095
126 C 0.0315 0.7088 0.0905
127 C 0.9685 0.7912 0.0905
128 C 0.0315 0.2088 0.9095
129 C 0.5316 0.2908 0.2423
130 C 0.9684 0.2908 0.7423
131 C 0.5315 0.7912 0.5905
132 C 0.5316 0.7908 0.7577
133 Rb 0.0000 0.2500 0.2276
134 Rb 0.0000 0.5000 0.5000
135 Rb 0.0000 0.7500 0.7724
136 Rb 0.5000 0.0000 0.0000
137 Rb 0.5000 0.2500 0.7276
138 Rb 0.5000 0.7500 0.2724
139 Rb 0.5000 0.5000 0.0000
140 Rb 0.0000 0.0000 0.5000

It is found that the formation energy values, taken in the order of the records, are -1.2616; -1.2616; -1.7561; -1.9459; -1.7098; -1.5086; -1.7116; -1.7496; -1.8728 eV per atom.